1.
8
Lattice="4.4137 0.0000 0.0000 0.0000 4.4137 0.0000 0.0000 0.0000 9.8904" Properties=species:S:1:pos:R:3 comment="USb2Au (PBE, relaxed)" delta_e_f_ev_per_atom=-0.280 energy_ev_per_cell=-47.883 volume_a3_per_cell=193 crystal_system=tetragonal pbc="T T T"
U 1.1034 1.1034 2.4251
U 3.3103 3.3103 7.4652
Sb 1.1034 1.1034 6.8868
Sb 1.1034 3.3103 0.0000
Sb 3.3103 1.1034 0.0000
Sb 3.3103 3.3103 3.0035
Au 1.1034 3.3103 4.9452
Au 3.3103 1.1034 4.9452

***

2.
172
Lattice="9.2312 -9.6689 0.0000 9.2312 9.6689 0.0000 0.0000 0.0000 37.8367" Properties=species:S:1:pos:R:3 comment="Ba21Cd4Sb18 (PBE, relaxed)" delta_e_f_ev_per_atom=-1.059 energy_ev_per_cell=-641.615 volume_a3_per_cell=6754 crystal_system=orthorhombic pbc="T T T"
Ba 2.9980 3.1073 1.1898
Ba 6.8045 6.9856 29.5616
Ba 2.2045 2.0787 20.3969
Ba 2.2619 2.0884 27.3372
Ba 5.9852 5.1072 14.0337
Ba 2.8200 1.7265 16.0556
Ba 2.9658 1.8778 12.2183
Ba 2.3175 0.9683 35.5393
Ba 5.9852 4.5616 32.9520
Ba 9.2312 7.6478 33.2137
Ba 3.1369 1.2101 31.3972
Ba 2.3175 -0.9683 2.2974
Ba 6.2332 3.1073 17.7285
Ba 2.2045 -2.0787 17.4398
Ba 6.8045 2.6833 10.6433
Ba 2.2619 -2.0884 10.4994
Ba 9.2312 5.2020 7.7148
Ba 3.1369 -1.2101 6.4395
Ba 2.8200 -1.7265 21.7810
Ba 6.2654 1.8778 6.7000
Ba 9.2312 4.9435 1.6067
Ba 9.2312 4.7253 20.5251
Ba 2.9658 -1.8778 25.6184
Ba 6.4112 1.7265 2.8627
Ba 6.0943 1.2101 25.3578
Ba 6.9693 2.0884 29.4178
Ba 9.2312 4.4669 26.6332
Ba 11.6579 6.9856 29.5616
Ba 7.0267 2.0787 36.3581
Ba 2.9980 -3.1073 36.6468
Ba 6.9137 0.9683 21.2157
Ba 6.0943 -1.2101 12.4789
Ba 9.2312 2.0211 14.2953
Ba 12.4772 5.1072 14.0337
Ba 6.9137 -0.9683 16.6209
Ba 6.2654 -1.8778 31.1366
Ba 6.4112 -1.7265 34.9740
Ba 12.4772 4.5616 32.9520
Ba 6.9693 -2.0884 8.4189
Ba 7.0267 -2.0787 1.4786
Ba 11.6579 2.6833 10.6433
Ba 6.2332 -3.1073 20.1082
Ba 12.2292 3.1073 17.7285
Ba 6.8045 -2.6833 27.1934
Ba 11.4357 2.0787 36.3581
Ba 11.4931 2.0884 29.4178
Ba 5.9852 -4.5616 4.8846
Ba 12.0512 1.7265 2.8627
Ba 12.1971 1.8778 6.7000
Ba 11.5487 0.9683 21.2157
Ba 5.9852 -5.1072 23.8030
Ba 9.2312 -2.0211 23.5413
Ba 12.3681 1.2101 25.3578
Ba 11.5487 -0.9683 16.6209
Ba 15.4644 3.1073 1.1898
Ba 11.4357 -2.0787 1.4786
Ba 6.8045 -6.9856 8.2750
Ba 9.2312 -4.4669 11.2035
Ba 11.4931 -2.0884 8.4189
Ba 12.3681 -1.2101 12.4789
Ba 12.0512 -1.7265 34.9740
Ba 15.4966 1.8778 12.2183
Ba 9.2312 -4.7253 17.3116
Ba 9.2312 -4.9435 36.2299
Ba 12.1971 -1.8778 31.1366
Ba 15.6424 1.7265 16.0556
Ba 15.3255 1.2101 31.3972
Ba 9.2312 -5.2020 30.1218
Ba 16.2006 2.0884 27.3372
Ba 11.6579 -2.6833 27.1934
Ba 16.2580 2.0787 20.3969
Ba 12.2292 -3.1073 20.1082
Ba 16.1449 0.9683 35.5393
Ba 15.3255 -1.2101 6.4395
Ba 9.2312 -7.6478 4.6230
Ba 12.4772 -4.5616 4.8846
Ba 16.1449 -0.9683 2.2974
Ba 15.4966 -1.8778 25.6184
Ba 15.6424 -1.7265 21.7810
Ba 12.4772 -5.1072 23.8030
Ba 16.2006 -2.0884 10.4994
Ba 16.2580 -2.0787 17.4398
Ba 11.6579 -6.9856 8.2750
Ba 15.4644 -3.1073 36.6468
Cd 9.2312 9.4827 24.4278
Cd 7.0504 5.2305 4.8025
Cd 9.2312 6.7976 14.1158
Cd 7.0504 4.4384 23.7209
Cd 11.4121 5.2305 4.8025
Cd 9.2312 2.8712 33.0341
Cd 11.4121 4.4384 23.7209
Cd 9.2312 0.1861 5.5094
Cd 9.2312 -0.1861 32.3272
Cd 7.0504 -4.4384 14.1158
Cd 9.2312 -2.8712 4.8026
Cd 7.0504 -5.2305 33.0341
Cd 11.4121 -4.4384 14.1158
Cd 9.2312 -6.7976 23.7209
Cd 11.4121 -5.2305 33.0341
Cd 9.2312 -9.4827 13.4089
Sb 9.2312 9.2347 8.0074
Sb 5.6559 5.2773 2.1718
Sb 5.5977 5.1816 7.6025
Sb 9.2312 8.7956 20.0517
Sb 9.2312 8.4938 27.3601
Sb 9.2312 8.3236 37.2337
Sb 5.5977 4.4873 26.5208
Sb 2.5162 1.1811 23.8380
Sb 5.6559 4.3916 21.0901
Sb 3.3601 1.6986 4.6076
Sb 9.2312 7.3334 4.6831
Sb 9.2312 6.5868 23.6540
Sb 2.5162 -1.1811 13.9987
Sb 5.8711 1.6986 14.3107
Sb 4.6156 0.2577 9.4592
Sb 9.2312 4.9741 11.7530
Sb 9.2312 4.9253 16.5164
Sb 4.5336 0.0000 18.9183
Sb 4.6977 0.0000 0.0000
Sb 9.2312 4.7436 35.4348
Sb 9.2312 4.6948 30.6713
Sb 4.6156 -0.2577 28.3775
Sb 3.3601 -1.6986 33.2291
Sb 6.7150 1.1811 32.9170
Sb 9.2312 3.0820 4.7356
Sb 9.2312 2.3355 23.6015
Sb 5.8711 -1.6986 23.5259
Sb 12.8065 5.2773 2.1718
Sb 6.7150 -1.1811 4.9197
Sb 12.8648 5.1816 7.6025
Sb 9.2312 1.3452 18.3153
Sb 9.2312 1.1751 8.4418
Sb 9.2312 0.8733 1.1334
Sb 12.8648 4.4872 26.5208
Sb 12.8065 4.3916 21.0901
Sb 9.2312 0.4342 26.9257
Sb 9.2312 -0.4342 10.9109
Sb 5.6559 -4.3916 16.7465
Sb 5.5977 -4.4872 11.3158
Sb 9.2312 -0.8733 36.7033
Sb 9.2312 -1.1751 29.3948
Sb 9.2312 -1.3452 19.5213
Sb 5.5977 -5.1816 30.2342
Sb 11.7474 1.1811 32.9170
Sb 5.6559 -5.2773 35.6649
Sb 12.5913 1.6986 14.3107
Sb 9.2312 -2.3355 14.2352
Sb 9.2312 -3.0820 33.1010
Sb 11.7474 -1.1811 4.9197
Sb 15.1023 1.6986 4.6076
Sb 13.8468 0.2577 9.4592
Sb 9.2312 -4.6948 7.1654
Sb 9.2312 -4.7436 2.4019
Sb 13.7648 0.0000 0.0000
Sb 13.9289 0.0000 18.9183
Sb 9.2312 -4.9253 21.3202
Sb 9.2312 -4.9741 26.0837
Sb 13.8468 -0.2577 28.3775
Sb 12.5913 -1.6986 23.5259
Sb 15.9463 1.1811 23.8380
Sb 9.2312 -6.5868 14.1827
Sb 9.2312 -7.3334 33.1535
Sb 15.1023 -1.6986 33.2291
Sb 12.8065 -4.3916 16.7465
Sb 15.9463 -1.1811 13.9987
Sb 12.8648 -4.4873 11.3158
Sb 9.2312 -8.3236 0.6030
Sb 9.2312 -8.4938 10.4765
Sb 9.2312 -8.7956 17.7850
Sb 12.8648 -5.1816 30.2342
Sb 12.8065 -5.2773 35.6649
Sb 9.2312 -9.2347 29.8293

***

3.
47
Lattice="11.4324 -1.9309 0.0000 11.4324 1.9309 0.0000 -0.4872 0.0000 15.6927" Properties=species:S:1:pos:R:3 comment="LiNb13O33 (PBE, relaxed)" delta_e_f_ev_per_atom=-3.008 energy_ev_per_cell=-415.231 volume_a3_per_cell=693 crystal_system=monoclinic pbc="T T T"
Li 0.0000 0.0000 0.0000
Nb 4.7051 0.0000 1.9779
Nb 6.1297 0.0000 5.6997
Nb 7.6005 0.0000 9.3546
Nb 8.3054 0.0000 0.4767
Nb 9.0512 0.0000 12.9513
Nb 9.6875 0.0000 4.2352
Nb 11.1888 0.0000 7.8464
Nb 12.6900 0.0000 11.4576
Nb 13.3263 0.0000 2.7415
Nb 14.0721 0.0000 15.2160
Nb 14.7771 0.0000 6.3382
Nb 16.2478 0.0000 9.9930
Nb 17.6724 0.0000 13.7148
O -0.2436 0.0000 7.8464
O 1.2339 0.0000 11.7647
O 2.4220 0.0000 2.5536
O 3.0032 0.0000 15.6480
O 3.9129 0.0000 6.2898
O 5.2170 0.0000 3.7053
O 5.4008 0.0000 9.9954
O 6.3262 0.0000 1.1017
O 6.7713 0.0000 7.4228
O 6.8542 0.0000 13.9465
O 7.7854 0.0000 4.7914
O 8.1793 0.0000 11.1837
O 9.0758 0.0000 2.0954
O 9.2978 0.0000 8.6081
O 9.4455 0.0000 15.0094
O 10.4292 0.0000 5.9530
O 10.7749 0.0000 12.4082
O 11.6027 0.0000 3.2845
O 11.9483 0.0000 9.7397
O 12.9320 0.0000 0.6833
O 13.0797 0.0000 7.0846
O 13.3018 0.0000 13.5973
O 14.1982 0.0000 4.5090
O 14.5921 0.0000 10.9013
O 15.5233 0.0000 1.7462
O 15.6063 0.0000 8.2699
O 16.0514 0.0000 14.5910
O 16.9768 0.0000 5.6974
O 17.1606 0.0000 11.9874
O 18.4646 0.0000 9.4030
O 19.3743 0.0000 0.0447
O 19.9555 0.0000 13.1391
O 21.1437 0.0000 3.9280

***

4.
56
Lattice="12.3835 0.0000 0.0000 0.0000 6.8196 0.0000 0.0000 0.0000 13.8796" Properties=species:S:1:pos:R:3 comment="Sr7ZrN6 (PBE, relaxed)" delta_e_f_ev_per_atom=-0.904 energy_ev_per_cell=-323.533 volume_a3_per_cell=1172 crystal_system=orthorhombic pbc="T T T"
Sr 0.0000 0.1011 3.4699
Sr 0.0000 6.7185 10.4097
Sr 0.5216 1.5289 7.0032
Sr 0.5216 5.2907 0.0634
Sr 2.7482 2.5962 1.6659
Sr 2.7482 4.2234 8.6057
Sr 2.7957 2.4320 12.0934
Sr 2.7957 4.3876 5.1536
Sr 3.3961 0.9778 5.1536
Sr 3.3961 5.8418 12.0934
Sr 3.4436 0.8136 8.6057
Sr 3.4436 6.0060 1.6659
Sr 5.6702 1.8809 0.0634
Sr 5.6702 4.9386 7.0032
Sr 6.1918 3.3087 10.4097
Sr 6.1918 3.5109 3.4699
Sr 6.7133 1.8809 6.8763
Sr 6.7133 4.9386 13.8161
Sr 8.9400 0.8136 12.2137
Sr 8.9400 6.0060 5.2739
Sr 8.9874 0.9778 1.7862
Sr 8.9874 5.8418 8.7260
Sr 9.5879 2.4320 8.7260
Sr 9.5879 4.3876 1.7862
Sr 9.6353 2.5962 5.2739
Sr 9.6353 4.2234 12.2137
Sr 11.8620 1.5289 13.8161
Sr 11.8620 5.2907 6.8763
Zr 0.0000 3.3090 10.4097
Zr 0.0000 3.5106 3.4699
Zr 6.1918 0.1008 3.4699
Zr 6.1918 6.7188 10.4097
N 1.1847 2.2240 4.6309
N 1.1847 4.5955 11.5707
N 1.3916 2.0165 9.4697
N 1.3916 4.8031 2.5300
N 1.9634 0.7194 13.8484
N 1.9634 6.1002 6.9087
N 4.2283 2.6904 6.9087
N 4.2283 4.1292 13.8484
N 4.8001 1.3933 2.5300
N 4.8001 5.4263 9.4697
N 5.0070 1.1857 11.5707
N 5.0070 5.6338 4.6309
N 7.3765 1.1857 9.2486
N 7.3765 5.6338 2.3088
N 7.5834 1.3933 4.4098
N 7.5834 5.4263 11.3496
N 8.1552 2.6904 0.0311
N 8.1552 4.1292 6.9709
N 10.4201 0.7194 6.9709
N 10.4201 6.1002 0.0311
N 10.9919 2.0165 11.3496
N 10.9919 4.8031 4.4098
N 11.1988 2.2240 2.3088
N 11.1988 4.5955 9.2486

***

5.
32
Lattice="9.1432 0.0000 0.0000 0.0000 7.5242 0.0000 -0.0177 0.0000 14.0576" Properties=species:S:1:pos:R:3 comment="KSm2Br5 (PBE, relaxed)" delta_e_f_ev_per_atom=-1.953 energy_ev_per_cell=-126.752 volume_a3_per_cell=967 crystal_system=monoclinic pbc="T T T"
K 0.0139 0.4429 4.7699
K 0.0051 3.3192 11.7987
K 9.1204 4.2050 2.2589
K 9.1115 7.0813 9.2877
Sm 2.7279 0.2421 14.0408
Sm 2.7367 3.5200 7.0120
Sm 4.4916 4.5873 2.1880
Sm 4.4828 6.6990 9.2168
Sm 4.6427 0.8252 4.8408
Sm 4.6338 2.9369 11.8696
Sm 6.3887 4.0042 7.0456
Sm 6.3976 7.2821 0.0168
Br 0.2573 5.0872 5.9910
Br 0.2485 6.1990 13.0198
Br 2.2666 4.8470 9.6312
Br 2.2755 6.4393 2.6024
Br 2.3614 1.2002 11.1575
Br 2.3703 2.5619 4.1287
Br 2.6568 0.3613 7.0320
Br 2.6656 3.4008 0.0032
Br 4.3354 5.2200 5.1446
Br 4.3266 6.0663 12.1734
Br 4.7989 1.4579 1.8843
Br 4.7900 2.3042 8.9131
Br 6.4598 4.1234 14.0544
Br 6.4687 7.1629 7.0256
Br 6.7552 4.9623 9.9289
Br 6.7640 6.3240 2.9001
Br 6.8500 1.0849 11.4553
Br 6.8589 2.6772 4.4264
Br 8.8770 1.3251 1.0378
Br 8.8681 2.4370 8.0666

***

6.
12
Lattice="5.4709 0.0000 0.0000 0.0000 4.1165 0.0000 0.0000 0.0000 7.9803" Properties=species:S:1:pos:R:3 comment="AlPt2 (PBE, relaxed)" delta_e_f_ev_per_atom=-0.854 energy_ev_per_cell=-73.793 volume_a3_per_cell=180 crystal_system=orthorhombic pbc="T T T"
Al 1.0448 1.0291 0.8264
Al 1.6906 3.0873 4.8165
Al 3.7803 1.0291 3.1638
Al 4.4261 3.0873 7.1539
Pt 0.2379 1.0291 6.3080
Pt 0.8804 1.0291 3.4415
Pt 1.8551 3.0873 7.4317
Pt 2.4976 3.0873 2.3178
Pt 2.9733 1.0291 5.6625
Pt 3.6159 1.0291 0.5487
Pt 4.5905 3.0873 4.5388
Pt 5.2331 3.0873 1.6723